126
Lattice="-8.3099 -1.7635 -3.1229 2.6089 -3.2765 8.0234 -7.5814 18.1989 9.8969" Properties=species:S:1:pos:R:3 comment="Na8HfMg3P6O24 (PBE, relaxed)" total_energy_ev_per_atom=-6.668 ef_ev_per_atom=-2.8568 m_tot_mub_per_fu=0.00 pbc="T T T"
O -5.8793 -2.8124 1.9066
O -8.7932 11.6856 8.4722
O -3.4055 9.9195 13.3236
O -5.9260 4.8791 9.8846
O -9.2570 8.0937 12.1984
O -0.4957 -0.0314 9.1307
O -4.5218 4.3634 6.3086
O -8.0068 1.9454 2.3640
O -2.0218 2.7745 5.8611
O -7.8722 10.1068 12.5741
O -6.6623 -2.8235 4.2641
O -9.9467 3.2298 1.4998
O -7.4133 13.7138 8.8822
O -5.5028 -1.2291 -0.7164
O -6.1661 1.5602 4.4822
O -6.0618 0.9755 0.3642
O -8.3147 6.6965 7.4019
O -2.0580 4.3013 8.3102
O -11.3044 10.3854 8.9394
O -12.1360 8.4051 4.1192
O -11.0229 13.9591 11.1109
O -11.2684 8.9809 6.4785
O -1.0749 4.7894 10.6555
O -2.3834 1.3238 8.2517
O -8.9890 4.5558 5.5715
O -2.2197 -0.8177 3.6420
O -4.0270 5.1237 2.5519
O -7.4991 8.3429 4.9992
O -10.8878 11.8721 6.5247
O -10.7433 15.3887 8.6963
O -1.8010 0.6472 1.6061
O -6.9710 -0.7219 2.7891
O -4.1032 6.5817 5.0400
O -12.2122 10.4244 11.2546
O -9.1492 12.6548 12.0583
O -7.1131 11.6334 10.3484
O -2.5592 -2.2783 6.0678
O -8.5204 10.4774 5.8318
O -4.1244 0.4953 2.7314
O -5.8652 -0.5378 5.9486
O -3.2019 -1.3864 1.3354
O -5.0056 6.6337 7.3632
O -4.7441 2.7793 9.0512
O -4.4743 1.4781 6.3663
O -6.9069 7.5308 9.3746
O -7.7371 14.3718 15.5209
O -6.5254 15.9506 10.5039
O -5.8049 13.0482 16.3930
O -8.8509 8.8539 8.5639
O -12.7858 13.2275 5.6608
O -6.4237 5.6916 5.4481
O -9.2421 6.5738 9.7035
O -7.2200 12.1719 14.4241
O -7.4792 0.0095 -1.5711
O -7.0027 1.5636 6.8189
O -2.9827 6.1492 9.8037
O -7.2975 2.8376 9.4779
O -7.4001 15.9674 12.8450
O -11.5003 12.4667 13.0994
O -5.3093 11.2375 12.4580
O -0.0888 -0.9579 5.5322
O -4.3042 8.6819 9.2517
O -8.2358 6.0837 3.3390
O -13.1637 14.0638 9.2784
O -5.4234 3.0985 2.2226
O -1.1037 2.7488 3.5526
O -10.1004 14.5041 13.4673
O -5.9878 10.2759 5.3888
O -10.2633 7.1215 5.1278
O -6.2368 11.6150 8.0369
O -5.0705 7.1317 11.5153
O -6.3067 13.8670 12.0066
Na -6.0008 9.1584 10.7960
Na -2.3522 0.4000 6.0331
Na -12.7399 15.3186 7.0490
Na -2.8720 8.1755 11.2701
Na -7.1201 3.6127 3.7905
Na -5.6729 6.7464 3.1662
Na -10.9263 12.7495 8.7592
Na -3.9878 2.7597 4.2924
Na -7.4230 6.2222 11.3757
Na -5.9819 8.9357 7.4900
Na -3.7577 9.0202 4.9053
Na -4.4272 -1.7474 4.5053
Na -0.0536 0.1287 0.0700
Na -8.8179 15.1233 10.4127
Na -0.2646 2.5120 7.6000
Na -0.1584 0.5766 3.5017
Na -12.8942 10.5679 7.0683
Na -13.2580 12.6959 11.4749
Na -0.6728 -1.9453 7.7450
Na -8.6117 12.7791 6.2829
Na -10.4391 4.6594 3.3526
Na -7.1120 3.9066 7.2858
Na -4.5856 0.2048 8.5325
Na -9.3326 10.2434 10.3933
Mg -1.1717 2.8126 1.5295
Mg -6.4298 15.4344 8.3935
Mg -4.9234 11.8183 6.4270
Mg -3.4314 2.9907 7.4419
Mg -2.6198 6.2887 3.4199
Mg -6.0676 1.0864 2.4166
Mg -1.1825 -2.4076 4.5062
Mg -4.9270 6.5809 9.3943
Mg -9.8383 10.1377 7.3389
Hf -7.2080 12.0562 12.3719
Hf -8.3285 6.5136 5.3680
Hf -12.1286 15.6354 10.3286
P -6.3080 15.4386 11.9380
P -12.1588 9.6008 9.9615
P -5.8963 3.3440 9.8870
P -4.9611 5.8105 6.0679
P -11.5498 12.4220 5.2403
P -8.3321 7.4273 8.7913
P -11.5985 7.8741 5.4674
P -7.4169 9.9091 4.9286
P -7.3850 12.1800 8.8757
P -2.8286 -0.2093 2.3676
P -7.0193 -2.2372 2.8863
P -1.7673 0.7412 9.5552
P -7.2125 12.9739 15.7774
P -6.0824 0.2506 -0.9707
P -1.7418 5.3506 9.3798
P -5.8845 1.0089 5.9089
P -1.1168 3.5600 4.8702
P -10.4609 13.4150 12.4778

14
Lattice="-5.0684 0.5315 -2.6581 4.8288 -3.0374 0.7028 -4.7912 -5.7701 7.9821" Properties=species:S:1:pos:R:3 comment="MgSb2O4 (PBE, relaxed)" total_energy_ev_per_atom=-5.542 de_polymorph_ev_per_atom=0.472 ef_ev_per_atom=-1.6989 m_tot_mub_per_fu=0.00 pbc="T T T"
Sb 1.5152 -4.9884 3.6093
Sb -6.5460 -3.2876 2.4175
Sb -8.1710 -5.2446 5.1247
Sb 3.1401 -3.0315 0.9022
O 3.4933 -4.4303 2.6516
O -4.7270 -2.4106 1.0706
O -2.5154 -4.1380 3.0134
O -8.5242 -3.8457 3.3752
O -3.5199 -0.9568 -0.9404
O -1.5110 -7.3192 6.9673
O -0.1198 -1.2529 -0.9776
O -0.3038 -5.8654 4.9562
Mg -4.8510 -5.1703 4.6226
Mg -0.1798 -3.1057 1.4043

15
Lattice="-6.0398 0.0000 0.0000 2.8308 6.5643 0.0000 -0.5551 -3.0898 -6.5506" Properties=species:S:1:pos:R:3 comment="ZnRe2O12 (PBE, relaxed)" total_energy_ev_per_atom=-6.142 ef_ev_per_atom=-0.9898 m_tot_mub_per_fu=8.00 pbc="T T T"
O -2.7742 -0.5345 -1.8599
O -1.6011 1.1997 -0.7013
O -1.0109 -0.8764 -4.7095
O -0.9899 4.0091 -4.6908
O 0.0396 1.6565 -5.6179
O -3.8036 1.8180 -0.9327
O -3.7078 2.5143 -3.7801
O -2.7531 4.3510 -1.8412
O -2.1629 2.2748 -5.8493
O -4.2631 -0.3959 -4.5082
O 0.4991 3.8705 -2.0424
O -0.0563 0.9603 -2.7705
Re 0.1831 0.3411 -4.3896
Re -3.9472 3.1335 -2.1610
Zn -3.0199 0.0000 0.0000

16
Lattice="-5.7620 -0.4171 3.2693 1.6046 -4.7404 -3.6927 4.5925 -4.3211 7.5427" Properties=species:S:1:pos:R:3 comment="NaMg14C (PBE, relaxed)" total_energy_ev_per_atom=-1.814 de_polymorph_ev_per_atom=0.000 ef_ev_per_atom=0.2461 m_tot_mub_per_fu=0.04 pbc="T T T"
Mg 2.4919 -4.6859 7.2807
Mg 2.4086 -4.3707 4.0386
Mg 0.0023 -2.3434 3.1918
Mg 0.4634 -6.8597 3.7970
Mg -1.7905 -4.7203 -0.0122
Mg 0.8605 -4.8788 1.2167
Mg 0.3418 -7.3274 6.9360
Mg -0.5443 -4.8684 8.6320
Mg 3.3501 -7.2213 5.3056
Mg -2.0471 -5.0797 3.0125
Mg -0.3305 -4.5143 5.6241
Mg -2.7524 -2.7909 5.0055
Mg -2.6100 -2.2994 1.8737
Mg 3.3206 -6.6793 2.1607
Na 0.3326 -2.0864 0.2040
C -0.0151 -5.1029 -1.3124

16
Lattice="-4.6030 0.0558 -4.3930 -0.0226 -7.4384 -0.0708 -6.3069 -0.0438 6.6079" Properties=species:S:1:pos:R:3 comment="Y3Os (PBE, relaxed)" total_energy_ev_per_atom=-7.894 ef_ev_per_atom=-0.2376 pbc="T T T"
Y -4.2897 -5.0141 1.3805
Y -5.5815 -3.9830 -2.1967
Y -6.4429 -7.1496 3.2740
Y -4.4896 -0.2768 -1.1300
Y -1.1844 -1.2877 -0.3331
Y -6.6428 -2.4123 0.7636
Y -3.5329 -1.3040 2.1274
Y -1.9413 -4.9978 -1.0801
Y -7.3997 -6.1225 0.0166
Y -5.3510 -3.4434 4.3408
Y -8.9913 -2.4286 3.2241
Y -9.7481 -6.1388 2.4771
Os -9.1569 -0.8548 0.7253
Os -1.7756 -6.5716 1.4187
Os -7.2246 -4.5976 2.5449
Os -3.7079 -2.8288 -0.4008

10
Lattice="-5.5372 -5.5372 0.0000 -5.5372 0.0000 -5.5372 0.0000 -5.5372 -5.5372" Properties=species:S:1:pos:R:3 comment="Pr4Fe (PBE, relaxed)" total_energy_ev_per_atom=-5.084 ef_ev_per_atom=0.4349 m_tot_mub_per_fu=0.06 pbc="T T T"
Pr -4.2455 -4.2455 -6.8288
Pr -6.8288 -6.8288 -6.8288
Pr -1.4769 -4.0603 -4.0603
Pr -4.0603 -1.4769 -4.0603
Pr -1.4769 -1.4769 -1.4769
Pr -6.8288 -4.2455 -4.2455
Pr -4.2455 -6.8288 -4.2455
Pr -4.0603 -4.0603 -1.4769
Fe -8.3057 -8.3057 -8.3057
Fe 0.0000 0.0000 0.0000

4
Lattice="-2.9474 -0.1424 3.8255 -1.5293 4.5712 0.3271 -0.0861 -2.8622 -3.8913" Properties=species:S:1:pos:R:3 comment="Li3Ag (PBE, relaxed)" total_energy_ev_per_atom=-2.297 de_polymorph_ev_per_atom=0.000 ef_ev_per_atom=-0.1568 pbc="T T T"
Li -2.2384 2.2144 2.0763
Li -2.6359 -0.3951 1.0052
Li -1.9269 1.9617 -0.7440
Ag 0.0000 0.0000 0.0000

111
Lattice="8.9406 -0.0202 0.0004 -4.4878 7.8075 -0.0047 0.0005 -0.0134 23.1278" Properties=species:S:1:pos:R:3 comment="Na3Zr3GaSi3S3O24 (PBE, relaxed)" total_energy_ev_per_atom=-7.160 ef_ev_per_atom=-2.7392 m_tot_mub_per_fu=0.00 pbc="T T T"
O 1.6791 0.1597 7.0194
O 5.1447 4.1681 0.6250
O 5.2336 1.1523 9.7624
O 0.6130 1.3725 9.4184
O -2.7587 7.6260 21.0889
O 3.7621 6.1910 7.0352
O 6.1570 2.4428 12.1514
O 1.7143 0.1682 13.5866
O 3.7190 4.1674 12.3336
O 5.1517 0.9567 3.1483
O 2.9636 7.5810 9.4866
O 5.4486 1.1857 17.2046
O 3.3719 4.0614 14.7666
O 1.0186 3.9313 1.8978
O -3.4870 6.4256 9.4390
O -0.6525 1.5792 21.0645
O 7.7709 1.4352 7.1686
O 3.4584 6.3188 4.6087
O 1.7083 5.0604 19.8095
O -1.0466 6.6350 22.4101
O -2.7296 7.5926 4.5937
O -1.0745 3.7259 20.0025
O -0.7668 6.7800 19.9902
O 1.0166 3.7687 8.2460
O 1.6856 4.9906 13.3850
O 5.8675 2.3701 5.5668
O 5.0252 6.3264 2.1051
O 0.9647 1.3140 2.1229
O 0.6561 1.6071 16.0297
O 0.5407 3.5454 10.8407
O 5.4833 3.9879 9.7783
O 3.7374 0.9593 14.7306
O 3.4327 1.1290 12.3049
O 3.7306 4.1551 5.7483
O 0.7841 3.7730 17.4689
O 5.6075 3.9566 3.2680
O 7.9482 1.2399 13.6340
O 2.8211 2.3685 0.7108
O 5.0426 6.1606 18.5750
O -0.6799 3.7508 5.9018
O 5.5175 1.1430 0.7160
O -1.5604 5.3786 17.4766
O 3.8487 0.9672 21.3024
O -1.5702 5.1060 1.7340
O 0.6412 6.8136 1.8104
O 3.5378 3.8675 21.2502
O 3.5496 6.5743 21.0696
O 2.8818 2.7479 3.4423
O 0.6212 6.7587 8.3220
O -1.8078 5.4343 10.8366
O 1.6932 5.4001 5.9056
O 3.0320 2.4381 17.0662
O 0.9758 6.5329 10.9409
O 1.6287 5.3607 22.4495
O 2.9141 2.7712 9.7934
O -0.6410 1.5332 4.5588
O 3.3804 1.2176 5.7178
O 7.2079 0.1755 2.0800
O -1.0565 6.6010 5.9343
O 5.0506 4.0128 17.2019
O 6.1756 2.6904 21.3181
O 7.1622 0.2038 18.5463
O 6.0278 2.7474 14.8300
O -1.7811 4.9680 8.4446
O 3.7693 6.1869 13.6072
O -0.9739 3.9529 13.4040
O 1.0796 1.3631 18.6305
O -0.7527 3.5524 22.4072
O 1.0107 6.5858 17.4871
O 2.6726 7.5628 16.1487
O -0.6865 6.7808 13.3702
O -3.5257 6.4279 15.9864
Na 4.4213 2.6139 19.1962
Na 4.5045 2.4965 7.5893
Na -0.1814 5.1217 3.7989
Na -0.2223 5.0624 15.4002
Na 7.3572 2.2732 9.6259
Na 2.8998 4.8787 17.3894
Na 1.5970 2.8024 5.6384
Na 8.8815 0.0020 11.4624
Na 4.4853 7.6806 0.0511
S 6.3179 0.0190 17.3409
S 3.2042 0.3147 13.5378
S 3.1709 4.8390 13.5263
S -2.6459 5.2575 9.6241
S -1.3088 2.8862 21.2151
S -1.2763 7.4459 21.2091
S 5.7386 0.3624 1.9408
S 3.2092 5.5416 5.8325
S 2.5609 -0.0049 5.8400
Ga 4.5645 2.7088 15.9199
Ga 4.6553 2.7020 4.1440
Ga 8.7252 0.1812 8.1438
Si 1.9788 2.6000 2.0847
Si 5.7631 4.8807 1.9652
Si 1.4295 2.2465 17.3059
Si 1.3203 2.8376 9.5594
Si 7.4887 2.2567 5.7727
Si 7.0103 2.5917 13.5501
Si 2.6197 5.2315 21.1659
Si 5.7769 5.4699 17.2565
Si 1.3436 7.4144 9.6190
Zr 0.0472 0.1091 14.9547
Zr 0.0423 0.0682 3.3529
Zr 4.4776 2.4737 11.0739
Zr -0.0112 5.0826 18.7732
Zr -4.3937 7.7236 19.6612
Zr 0.0249 5.1851 7.2660
Zr 0.0981 5.1239 0.5867
Zr 4.3577 2.7326 22.7028
Zr 0.0317 5.0783 11.9780